# RbCOF3, optimized geometry, DFT PBE-GGA
data_RbCOF3
_cell_length_a 5.743
_cell_length_b 7.438
_cell_length_c 9.013
_cell_angle_alpha 90.00
_cell_angle_beta 90.17
_cell_angle_gamma 90.00
_space_group_name_H-M_alt 'P 1'
_space_group_IT_number 1
loop_
_space_group_symop_operation_xyz
'x,y,z'
loop_
_atom_site_label
_atom_site_fract_x
_atom_site_fract_y
_atom_site_fract_z
Rb1 0.243 0.157 0.179
Rb2 0.243 0.343 0.679
Rb3 0.757 0.657 0.321
Rb4 0.757 0.843 0.821
C1 0.227 0.703 0.067
C2 0.227 0.797 0.567
C3 0.773 0.203 0.433
C4 0.773 0.297 0.933
O1 0.054 0.702 0.582
O2 0.054 0.798 0.082
O3 0.946 0.202 0.918
O4 0.946 0.298 0.418
F1 0.258 0.614 0.928
F2 0.258 0.886 0.428
F3 0.259 0.559 0.172
F4 0.259 0.941 0.672
F5 0.453 0.704 0.582
F6 0.453 0.796 0.082
F7 0.547 0.204 0.918
F8 0.547 0.296 0.418
F9 0.741 0.059 0.328
F10 0.741 0.441 0.828
F11 0.742 0.114 0.572
F12 0.742 0.386 0.072
# ΔE_f = -2.32 eV per atom
# E = -5.4574 eV per atom